Entry 1:
# DyPtF7

Crystalline DyPtF7 at its relaxed geometry (PBE, the Materials Project).

**Formation enthalpy at 0 K**: -26.28 eV/f.u.
**DFT total energy**: -188.51 eV/cell
**Calculated volume**: 14.58 Å³/atom

```
data_DyPtF7
_chemical_formula_sum 'Dy4 Pt4 F28'
_space_group_name_H-M_alt 'P 1 21/c 1'
_space_group_IT_number 14
_space_group_name_Hall '-P 2ybc'
_cell_length_a 8.8911
_cell_length_b 5.5493
_cell_length_c 12.0002
_cell_angle_alpha 90.00
_cell_angle_beta 117.57
_cell_angle_gamma 90.00
loop_
_atom_site_label
_atom_site_type_symbol
_atom_site_fract_x
_atom_site_fract_y
_atom_site_fract_z
_atom_site_occupancy
Dy1 Dy 0.1861 0.2391 0.2643 1
Pt1 Pt 0.2724 0.7412 0.0430 1
F1 F 0.0235 0.7456 0.9496 1
F2 F 0.0302 0.5850 0.7325 1
F3 F 0.2543 0.5519 0.1753 1
F4 F 0.2747 0.0342 0.1360 1
F5 F 0.2779 0.0597 0.4573 1
F6 F 0.2965 0.5639 0.4153 1
F7 F 0.4786 0.2257 0.3587 1
```

Entry 2:
# Rb3DyF6

Crystalline Rb3DyF6 at its relaxed geometry (PBE, the Materials Project).

**Formation enthalpy at 0 K**: -34.99 eV/f.u.
**DFT total energy**: -102.50 eV/cell
**Calculated volume**: 25.08 Å³/atom

```
data_Rb3DyF6
_chemical_formula_sum 'Rb6 Dy2 F12'
_space_group_name_H-M_alt 'I 4/m m m'
_space_group_IT_number 139
_space_group_name_Hall '-I 4 2'
_cell_length_a 7.2344
_cell_length_b 7.2344
_cell_length_c 9.5827
_cell_angle_alpha 90.00
_cell_angle_beta 90.00
_cell_angle_gamma 90.00
loop_
_atom_site_label
_atom_site_type_symbol
_atom_site_fract_x
_atom_site_fract_y
_atom_site_fract_z
_atom_site_occupancy
Rb1 Rb 0.0000 0.0000 0.0000 1
Rb2 Rb 0.0000 0.5000 0.2500 1
Dy1 Dy 0.0000 0.0000 0.5000 1
F1 F 0.0000 0.0000 0.2706 1
F2 F 0.0000 0.3015 0.5000 1
```

Which value of DFT total energy does entry 2 give? -102.50 eV/cell

Number 2 is which compound? Rb3DyF6

Look up the calculated volume of the second one. 25.08 Å³/atom

The lowest formation enthalpy at 0 K belongs to which entry? Rb3DyF6